No. 1
The following is a DFT calculation (PBE) of a relaxed Ca3C2N4 crystal.

Calculated values
* calculated formation energy: -0.69 eV/atom

Structure (CIF):
```
data_Ca3C2N4
_cell_length_a 7.119
_cell_length_b 10.534
_cell_length_c 5.378
_cell_angle_alpha 90.00
_cell_angle_beta 99.23
_cell_angle_gamma 137.72
_space_group_name_H-M_alt 'P 1'
_space_group_IT_number 1
_space_group_name_Hall 'P 1'
loop_
_atom_site_label
_atom_site_type_symbol
_atom_site_fract_x
_atom_site_fract_y
_atom_site_fract_z
N1 N 0.295 0.781 0.116
Ca1 Ca 0.748 0.742 0.435
N2 N 0.295 0.515 0.616
Ca2 Ca 0.000 0.550 0.750
N3 N 0.705 0.485 0.384
Ca3 Ca 0.252 0.258 0.565
N4 N 0.745 0.761 0.949
C1 C 0.521 0.371 0.171
Ca4 Ca 0.748 0.006 0.935
Ca5 Ca 0.252 0.994 0.065
N5 N 0.705 0.219 0.884
C2 C 0.479 0.850 0.329
Ca6 Ca 0.000 0.450 0.250
N6 N 0.255 0.239 0.051
N7 N 0.255 0.015 0.551
N8 N 0.745 0.985 0.449
C3 C 0.479 0.629 0.829
C4 C 0.521 0.150 0.671
```

=====

No. 2
The following is a DFT calculation (PBE) of a relaxed Ca5C2N6 crystal.

Calculated values
* calculated formation energy: -0.67 eV/atom

Structure (CIF):
```
data_Ca5C2N6
_cell_length_a 5.464
_cell_length_b 5.917
_cell_length_c 12.263
_cell_angle_alpha 90.00
_cell_angle_beta 97.63
_cell_angle_gamma 122.78
_space_group_name_H-M_alt 'P 1'
_space_group_IT_number 1
_space_group_name_Hall 'P 1'
loop_
_atom_site_label
_atom_site_type_symbol
_atom_site_fract_x
_atom_site_fract_y
_atom_site_fract_z
N1 N 0.539 0.179 0.548
N2 N 0.684 0.277 0.359
Ca1 Ca 0.118 0.322 0.494
Ca2 Ca 0.694 0.904 0.292
N3 N 0.684 0.407 0.859
Ca3 Ca 0.694 0.790 0.792
Ca4 Ca 0.882 0.204 0.006
N4 N 0.844 0.850 0.125
N5 N 0.156 0.150 0.875
Ca5 Ca 0.306 0.096 0.708
Ca6 Ca 0.882 0.678 0.506
Ca7 Ca 0.118 0.796 0.994
N6 N 0.156 0.007 0.375
N7 N 0.316 0.723 0.641
Ca8 Ca 0.000 0.593 0.250
C1 C 0.548 0.917 0.576
Ca9 Ca 0.000 0.407 0.750
N8 N 0.461 0.640 0.952
C2 C 0.452 0.083 0.424
Ca10 Ca 0.306 0.210 0.208
N9 N 0.461 0.821 0.452
C3 C 0.452 0.369 0.924
N10 N 0.539 0.360 0.048
C4 C 0.548 0.631 0.076
N11 N 0.844 0.993 0.625
N12 N 0.316 0.593 0.141
```

=====

No. 3
The following is a DFT calculation (PBE) of a relaxed Ca11C2N10 crystal.

Calculated values
* calculated formation energy: -0.99 eV/atom

Structure (CIF):
```
data_Ca11C2N10
_cell_length_a 14.570
_cell_length_b 14.570
_cell_length_c 3.614
_cell_angle_alpha 90.00
_cell_angle_beta 90.00
_cell_angle_gamma 90.00
_space_group_name_H-M_alt 'P 1'
_space_group_IT_number 1
_space_group_name_Hall 'P 1'
loop_
_atom_site_label
_atom_site_type_symbol
_atom_site_fract_x
_atom_site_fract_y
_atom_site_fract_z
N1 N 0.189 0.472 0.500
Ca1 Ca 0.667 0.667 0.500
Ca2 Ca 0.118 0.394 0.000
Ca3 Ca 0.705 0.480 0.000
N2 N 0.256 0.744 0.500
Ca4 Ca 0.606 0.882 0.000
Ca5 Ca 0.106 0.618 0.500
C1 C 0.316 0.684 0.500
Ca6 Ca 0.882 0.606 0.000
C2 C 0.184 0.184 0.000
C3 C 0.684 0.316 0.500
Ca7 Ca 0.333 0.333 0.500
Ca8 Ca 0.394 0.118 0.000
N3 N 0.689 0.028 0.000
N4 N 0.744 0.256 0.500
Ca9 Ca 0.618 0.106 0.500
Ca10 Ca 0.500 0.500 0.500
Ca11 Ca 0.894 0.382 0.500
N5 N 0.410 0.410 0.000
N6 N 0.124 0.124 0.000
N7 N 0.876 0.876 0.000
N8 N 0.472 0.189 0.500
N9 N 0.311 0.972 0.000
N10 N 0.376 0.624 0.500
N11 N 0.528 0.811 0.500
N12 N 0.910 0.090 0.500
Ca12 Ca 0.020 0.205 0.500
Ca13 Ca 0.382 0.894 0.500
N13 N 0.590 0.590 0.000
N14 N 0.624 0.376 0.500
N15 N 0.811 0.528 0.500
N16 N 0.244 0.244 0.000
N17 N 0.028 0.689 0.000
Ca14 Ca 0.295 0.520 0.000
N18 N 0.090 0.910 0.500
Ca15 Ca 0.000 0.000 0.000
Ca16 Ca 0.205 0.020 0.500
N19 N 0.756 0.756 0.000
Ca17 Ca 0.980 0.795 0.500
Ca18 Ca 0.833 0.167 0.000
Ca19 Ca 0.795 0.980 0.500
N20 N 0.972 0.311 0.000
Ca20 Ca 0.520 0.295 0.000
C4 C 0.816 0.816 0.000
Ca21 Ca 0.167 0.833 0.000
Ca22 Ca 0.480 0.705 0.000
```

=====

No. 4
The following is a DFT calculation (PBE) of a relaxed Na2CaC2O6 crystal.

Calculated values
* calculated formation energy: -2.23 eV/atom
* ΔE to the lowest computed polymorph: 0.1233 eV per atom

Structure (CIF):
```
data_Na2CaC2O6
_cell_length_a 5.222
_cell_length_b 5.222
_cell_length_c 11.538
_cell_angle_alpha 90.00
_cell_angle_beta 90.00
_cell_angle_gamma 120.00
_space_group_name_H-M_alt 'P 1'
_space_group_IT_number 1
_space_group_name_Hall 'P 1'
loop_
_atom_site_label
_atom_site_type_symbol
_atom_site_fract_x
_atom_site_fract_y
_atom_site_fract_z
C1 C 0.000 0.000 0.245
O1 O 0.287 0.143 0.240
O2 O 0.143 0.287 0.740
Ca1 Ca 0.000 0.000 0.021
O3 O 0.857 0.143 0.240
Na1 Na 0.333 0.667 0.862
O4 O 0.713 0.857 0.740
O5 O 0.857 0.713 0.240
O6 O 0.477 0.523 0.502
O7 O 0.143 0.857 0.740
C2 C 0.667 0.333 0.003
O8 O 0.045 0.523 0.502
Na2 Na 0.667 0.333 0.362
O9 O 0.477 0.955 0.502
Ca2 Ca 0.000 0.000 0.521
O10 O 0.955 0.477 0.002
O11 O 0.523 0.477 0.002
Na3 Na 0.667 0.333 0.693
Na4 Na 0.333 0.667 0.193
C3 C 0.333 0.667 0.503
C4 C 0.000 0.000 0.745
O12 O 0.523 0.045 0.002
```

=====

No. 5
The following is a DFT calculation (PBE) of a relaxed Na2CaC2O3 crystal.

Calculated values
* calculated formation energy: -1.16 eV/atom

Structure (CIF):
```
data_Na2CaC2O3
_cell_length_a 5.066
_cell_length_b 5.066
_cell_length_c 10.438
_cell_angle_alpha 90.00
_cell_angle_beta 90.00
_cell_angle_gamma 119.52
_space_group_name_H-M_alt 'P 1'
_space_group_IT_number 1
_space_group_name_Hall 'P 1'
loop_
_atom_site_label
_atom_site_type_symbol
_atom_site_fract_x
_atom_site_fract_y
_atom_site_fract_z
Na1 Na 0.180 0.820 0.426
Na2 Na 0.820 0.180 0.574
O1 O 0.440 0.000 0.750
Ca1 Ca 0.519 0.481 0.250
C1 C 0.500 0.500 0.500
O2 O 0.000 0.440 0.250
O3 O 0.000 0.560 0.750
C2 C 0.853 0.147 0.250
C3 C 0.500 0.500 0.000
C4 C 0.147 0.853 0.750
O4 O 0.560 0.000 0.250
Na3 Na 0.820 0.180 0.926
O5 O 0.002 0.998 0.250
O6 O 0.998 0.002 0.750
Ca2 Ca 0.481 0.519 0.750
Na4 Na 0.180 0.820 0.074
```

=====

No. 6
The following is a DFT calculation (PBE) of a relaxed Na2CaC2O6 crystal.

Calculated values
* calculated formation energy: -2.36 eV/atom
* ΔE to the lowest computed polymorph: 0.0000 eV per atom

Structure (CIF):
```
data_Na2CaC2O6
_cell_length_a 8.847
_cell_length_b 10.167
_cell_length_c 12.360
_cell_angle_alpha 90.00
_cell_angle_beta 90.00
_cell_angle_gamma 90.00
_space_group_name_H-M_alt 'P 1'
_space_group_IT_number 1
_space_group_name_Hall 'P 1'
loop_
_atom_site_label
_atom_site_type_symbol
_atom_site_fract_x
_atom_site_fract_y
_atom_site_fract_z
Na1 Na 0.060 0.895 0.917
O1 O 0.052 0.482 0.216
C1 C 0.747 0.885 0.506
O2 O 0.298 0.018 0.556
C2 C 0.628 0.627 0.278
O3 O 0.171 0.641 0.593
O4 O 0.948 0.018 0.716
O5 O 0.775 0.123 0.229
C3 C 0.372 0.873 0.778
O6 O 0.202 0.518 0.444
Ca1 Ca 0.703 0.879 0.777
Na2 Na 0.942 0.649 0.113
O7 O 0.702 0.482 0.056
C4 C 0.253 0.115 0.494
C5 C 0.747 0.385 0.994
C6 C 0.753 0.885 0.006
C7 C 0.128 0.373 0.222
O8 O 0.552 0.018 0.216
O9 O 0.225 0.377 0.729
O10 O 0.702 0.982 0.444
O11 O 0.775 0.623 0.271
Na3 Na 0.940 0.605 0.417
Na4 Na 0.942 0.149 0.387
Ca2 Ca 0.703 0.379 0.723
C8 C 0.372 0.373 0.722
C9 C 0.628 0.127 0.222
C10 C 0.753 0.385 0.494
O12 O 0.202 0.018 0.056
O13 O 0.171 0.141 0.907
O14 O 0.135 0.181 0.521
O15 O 0.635 0.319 0.521
O16 O 0.798 0.482 0.556
Na5 Na 0.558 0.649 0.613
Ca3 Ca 0.297 0.621 0.277
O17 O 0.448 0.482 0.716
O18 O 0.365 0.681 0.479
O19 O 0.052 0.982 0.284
O20 O 0.829 0.859 0.093
O21 O 0.329 0.641 0.093
O22 O 0.725 0.623 0.771
O23 O 0.798 0.982 0.944
O24 O 0.442 0.260 0.718
Na6 Na 0.060 0.395 0.583
Ca4 Ca 0.797 0.879 0.277
C11 C 0.253 0.615 0.006
Na7 Na 0.558 0.149 0.887
O25 O 0.298 0.518 0.944
O26 O 0.725 0.123 0.729
Na8 Na 0.560 0.105 0.583
Na9 Na 0.442 0.851 0.113
O27 O 0.275 0.877 0.271
O28 O 0.329 0.141 0.407
Ca5 Ca 0.797 0.379 0.223
O29 O 0.558 0.240 0.218
Na10 Na 0.058 0.851 0.613
Na11 Na 0.440 0.895 0.417
Na12 Na 0.940 0.105 0.083
O30 O 0.448 0.982 0.784
O31 O 0.135 0.681 0.979
Na13 Na 0.440 0.395 0.083
O32 O 0.671 0.859 0.593
C12 C 0.872 0.127 0.722
O33 O 0.552 0.518 0.284
O34 O 0.225 0.877 0.771
Ca6 Ca 0.297 0.121 0.223
Na14 Na 0.560 0.605 0.917
Na15 Na 0.058 0.351 0.887
O35 O 0.865 0.319 0.021
O36 O 0.058 0.260 0.218
Ca7 Ca 0.203 0.121 0.723
O37 O 0.865 0.819 0.479
O38 O 0.365 0.181 0.021
O39 O 0.671 0.359 0.907
O40 O 0.442 0.760 0.782
C13 C 0.247 0.115 0.994
O41 O 0.558 0.740 0.282
Na16 Na 0.442 0.351 0.387
C14 C 0.247 0.615 0.506
Ca8 Ca 0.203 0.621 0.777
O42 O 0.829 0.359 0.407
O43 O 0.942 0.240 0.718
C15 C 0.872 0.627 0.778
C16 C 0.128 0.873 0.278
O44 O 0.948 0.518 0.784
O45 O 0.058 0.760 0.282
O46 O 0.942 0.740 0.782
O47 O 0.275 0.377 0.229
O48 O 0.635 0.819 0.979
```

=====

For each record above, in turn, the calculated volume values are 14.64, 12.66, 16.68, 12.39, 14.57, 12.63 Å³ per atom.